(1)
Density functional theory data (PBE-GGA) for an optimized crystal structure of In2Bi.

Structure (POSCAR):
```
In2Bi
1.0
0.000 2.516 8.189
2.201 0.000 8.189
2.201 2.516 0.000
In Bi
2 1
Direct
0.332 0.332 0.668 In
0.668 0.668 0.332 In
0.000 0.000 0.000 Bi
```

Results
E_tot, eV/cell: -9.3

***

(2)
Density functional theory data (PBE-GGA) for an optimized crystal structure of ErCuO3.

Structure (POSCAR):
```
ErCuO3
1.0
-1.167 -2.570 2.493
2.914 -2.205 -0.910
2.081 1.647 2.672
Er Cu O
1 1 3
Direct
0.000 0.000 0.000 Er
0.500 0.500 0.500 Cu
0.500 0.500 0.000 O
0.500 0.000 0.500 O
0.000 0.500 0.500 O
```

Results
E_tot, eV/cell: -32.5

***

(3)
Density functional theory data (PBE-GGA) for an optimized crystal structure of ReSn3.

Structure (POSCAR):
```
ReSn3
1.0
0.736 -0.475 4.898
-3.846 -0.933 3.015
-0.442 -4.460 2.161
Re Sn
1 3
Direct
0.000 0.000 0.000 Re
0.250 0.250 0.250 Sn
0.750 0.750 0.750 Sn
0.500 0.500 0.500 Sn
```

Results
E_tot, eV/cell: -21.5

***

(4)
Density functional theory data (PBE-GGA) for an optimized crystal structure of Dy2Sc3Si4.

Structure (POSCAR):
```
Dy2Sc3Si4
1.0
-1.148 5.935 -3.730
-6.382 -2.789 -2.474
-6.699 5.597 10.969
Dy Sc Si
8 12 16
Direct
0.012 0.175 0.097 Dy
0.988 0.825 0.903 Dy
0.488 0.675 0.903 Dy
0.988 0.825 0.597 Dy
0.512 0.325 0.097 Dy
0.012 0.175 0.403 Dy
0.512 0.325 0.403 Dy
0.488 0.675 0.597 Dy
0.161 0.503 0.750 Sc
0.839 0.497 0.250 Sc
0.339 0.003 0.250 Sc
0.661 0.997 0.750 Sc
0.330 0.177 0.625 Sc
0.670 0.823 0.375 Sc
0.170 0.677 0.375 Sc
0.670 0.823 0.125 Sc
0.830 0.323 0.625 Sc
0.330 0.177 0.875 Sc
0.830 0.323 0.875 Sc
0.170 0.677 0.125 Sc
0.033 0.119 0.750 Si
0.967 0.881 0.250 Si
0.467 0.619 0.250 Si
0.533 0.381 0.750 Si
0.286 0.875 0.750 Si
0.714 0.125 0.250 Si
0.214 0.375 0.250 Si
0.786 0.625 0.750 Si
0.157 0.465 0.539 Si
0.843 0.535 0.461 Si
0.343 0.965 0.461 Si
0.843 0.535 0.039 Si
0.657 0.035 0.539 Si
0.157 0.465 0.961 Si
0.657 0.035 0.961 Si
0.343 0.965 0.039 Si
```

Results
E_tot, eV/cell: -229.6

***

(5)
Density functional theory data (PBE-GGA) for an optimized crystal structure of LiY2Ti2S2O5.

Structure (POSCAR):
```
LiY2Ti2S2O5
1.0
9.819 -0.644 5.958
6.010 0.523 9.794
-8.286 -2.657 -7.523
Li Y Ti S O
1 2 2 2 5
Direct
0.500 0.000 0.500 Li
0.665 0.665 0.000 Y
0.335 0.335 0.000 Y
0.915 0.915 0.000 Ti
0.085 0.085 0.000 Ti
0.795 0.795 0.000 S
0.205 0.205 0.000 S
0.897 0.397 0.500 O
0.103 0.603 0.500 O
0.407 0.907 0.500 O
0.593 0.093 0.500 O
0.000 0.000 0.000 O
```

Results
E_tot, eV/cell: -96.4

***

(6)
Density functional theory data (PBE-GGA) for an optimized crystal structure of Mg6NbSi.

Structure (POSCAR):
```
Mg6NbSi
1.0
-3.185 2.181 -2.882
-3.063 -5.403 -0.705
-6.031 2.320 8.420
Mg Nb Si
12 2 2
Direct
0.000 0.254 0.086 Mg
0.000 0.746 0.086 Mg
0.000 0.500 0.834 Mg
0.500 0.247 0.919 Mg
0.500 0.753 0.919 Mg
0.500 0.500 0.668 Mg
0.000 0.754 0.586 Mg
0.000 0.246 0.586 Mg
0.000 0.000 0.334 Mg
0.500 0.747 0.419 Mg
0.500 0.253 0.419 Mg
0.500 0.000 0.168 Mg
0.500 0.500 0.179 Nb
0.500 0.000 0.679 Nb
0.000 0.500 0.308 Si
0.000 0.000 0.808 Si
```

Results
Energy relative to the lowest polymorph listed for this composition, eV/f.u.: 0.00
E_tot, eV/cell: -48.4

***

(7)
Density functional theory data (PBE-GGA) for an optimized crystal structure of Mo21S8.

Structure (POSCAR):
```
Mo21S8
1.0
-3.049 -11.002 -2.820
0.495 10.772 4.691
-5.411 4.181 -9.567
Mo S
21 8
Direct
0.348 0.445 0.793 Mo
0.652 0.555 0.207 Mo
0.555 0.348 0.903 Mo
0.445 0.652 0.097 Mo
0.022 0.279 0.302 Mo
0.978 0.721 0.698 Mo
0.721 0.022 0.743 Mo
0.279 0.978 0.257 Mo
0.195 0.197 0.392 Mo
0.805 0.803 0.608 Mo
0.803 0.195 0.998 Mo
0.197 0.805 0.002 Mo
0.448 0.077 0.525 Mo
0.552 0.923 0.475 Mo
0.923 0.448 0.371 Mo
0.077 0.552 0.629 Mo
0.185 0.385 0.570 Mo
0.815 0.615 0.430 Mo
0.615 0.185 0.799 Mo
0.385 0.815 0.201 Mo
0.000 0.000 0.000 Mo
0.062 0.134 0.197 S
0.938 0.866 0.803 S
0.866 0.062 0.928 S
0.134 0.938 0.072 S
0.365 0.213 0.578 S
0.635 0.787 0.422 S
0.787 0.365 0.152 S
0.213 0.635 0.848 S
```

Results
E_tot, eV/cell: -263.2

***

(8)
Density functional theory data (PBE-GGA) for an optimized crystal structure of Ba9In4.

Structure (POSCAR):
```
Ba9In4
1.0
-7.093 7.093 2.988
7.093 -7.093 2.988
7.093 7.093 -2.988
Ba In
9 4
Direct
0.500 0.500 0.000 Ba
0.187 0.111 0.298 Ba
0.813 0.889 0.702 Ba
0.889 0.187 0.075 Ba
0.111 0.813 0.925 Ba
0.125 0.388 0.513 Ba
0.875 0.612 0.487 Ba
0.612 0.125 0.737 Ba
0.388 0.875 0.263 Ba
0.401 0.263 0.663 In
0.599 0.737 0.337 In
0.737 0.401 0.138 In
0.263 0.599 0.862 In
```

Results
E_tot, eV/cell: -32.0

***

(9)
Density functional theory data (PBE-GGA) for an optimized crystal structure of Ca3Ge4Au7.

Structure (POSCAR):
```
Ca3Ge4Au7
1.0
-3.880 0.788 -2.190
1.990 5.552 -6.203
0.793 -4.006 -7.522
Ca Ge Au
3 4 7
Direct
0.000 0.001 0.999 Ca
0.310 0.691 0.688 Ca
0.690 0.312 0.309 Ca
0.132 0.140 0.595 Ge
0.868 0.405 0.860 Ge
0.321 0.035 0.322 Ge
0.679 0.678 0.965 Ge
0.340 0.278 0.041 Au
0.660 0.959 0.722 Au
0.500 0.697 0.303 Au
0.134 0.606 0.125 Au
0.866 0.875 0.394 Au
0.500 0.310 0.690 Au
0.000 0.500 0.500 Au
```

Results
Energy relative to the lowest polymorph listed for this composition, eV/f.u.: 0.00
E_tot, eV/cell: -54.5

***

(10)
Density functional theory data (PBE-GGA) for an optimized crystal structure of Li2AgF5.

Structure (POSCAR):
```
Li2AgF5
1.0
2.646 5.140 0.000
-2.646 5.140 0.000
0.000 3.155 7.378
Li Ag F
4 2 10
Direct
0.378 0.356 0.737 Li
0.356 0.378 0.237 Li
0.644 0.622 0.763 Li
0.622 0.644 0.263 Li
0.000 0.000 0.000 Ag
0.000 0.000 0.500 Ag
0.599 0.221 0.958 F
0.346 0.023 0.343 F
0.023 0.346 0.843 F
0.221 0.599 0.458 F
0.274 0.726 0.750 F
0.726 0.274 0.250 F
0.779 0.401 0.542 F
0.977 0.654 0.157 F
0.654 0.977 0.657 F
0.401 0.779 0.042 F
```

Results
Energy relative to the lowest polymorph listed for this composition, eV/f.u.: 0.00
E_tot, eV/cell: -63.7

***

(11)
Density functional theory data (PBE-GGA) for an optimized crystal structure of MgTl2P4O16.

Structure (POSCAR):
```
MgTl2P4O16
1.0
3.543 -5.601 -1.996
5.534 4.176 -2.712
0.505 -1.086 7.744
Mg Tl P O
1 2 4 16
Direct
0.500 0.500 0.000 Mg
0.245 0.935 0.787 Tl
0.755 0.065 0.213 Tl
0.825 0.257 0.728 P
0.175 0.743 0.272 P
0.732 0.656 0.738 P
0.268 0.344 0.262 P
0.034 0.258 0.831 O
0.966 0.742 0.169 O
0.797 0.072 0.549 O
0.203 0.928 0.451 O
0.673 0.280 0.856 O
0.327 0.720 0.144 O
0.815 0.438 0.660 O
0.185 0.562 0.340 O
0.625 0.690 0.568 O
0.375 0.310 0.432 O
0.905 0.802 0.812 O
0.095 0.198 0.188 O
0.602 0.677 0.886 O
0.398 0.323 0.114 O
0.250 0.456 0.786 O
0.750 0.544 0.214 O
```

Results
E_tot, eV/cell: -137.9

***

(12)
Density functional theory data (PBE-GGA) for an optimized crystal structure of BaTeH3S4O6.

Structure (POSCAR):
```
BaTeH3S4O6
1.0
-4.013 -0.730 3.484
0.162 -10.837 -2.084
14.043 -7.186 14.670
Ba Te H S O
4 4 12 16 24
Direct
0.670 0.143 0.090 Ba
0.330 0.857 0.910 Ba
0.170 0.857 0.410 Ba
0.830 0.143 0.590 Ba
0.987 0.599 0.188 Te
0.013 0.401 0.812 Te
0.487 0.401 0.312 Te
0.513 0.599 0.688 Te
0.706 0.416 0.029 H
0.294 0.584 0.971 H
0.206 0.584 0.471 H
0.794 0.416 0.529 H
0.359 0.915 0.150 H
0.641 0.085 0.850 H
0.859 0.085 0.350 H
0.141 0.915 0.650 H
0.898 0.982 0.215 H
0.102 0.018 0.785 H
0.398 0.018 0.285 H
0.602 0.982 0.715 H
0.595 0.719 0.319 S
0.405 0.281 0.681 S
0.095 0.281 0.181 S
0.905 0.719 0.819 S
0.701 0.667 0.102 S
0.299 0.333 0.898 S
0.201 0.333 0.398 S
0.799 0.667 0.602 S
0.733 0.539 0.361 S
0.267 0.461 0.639 S
0.233 0.461 0.139 S
0.767 0.539 0.861 S
0.870 0.827 0.046 S
0.130 0.173 0.954 S
0.370 0.173 0.454 S
0.630 0.827 0.546 S
0.822 0.282 0.172 O
0.178 0.718 0.828 O
0.322 0.718 0.328 O
0.678 0.282 0.672 O
0.377 0.796 0.528 O
0.623 0.204 0.472 O
0.877 0.204 0.972 O
0.123 0.796 0.028 O
0.870 0.925 0.083 O
0.130 0.075 0.917 O
0.370 0.075 0.417 O
0.630 0.925 0.583 O
0.716 0.797 0.359 O
0.284 0.203 0.641 O
0.216 0.203 0.141 O
0.784 0.797 0.859 O
0.799 0.855 0.491 O
0.201 0.145 0.509 O
0.299 0.145 0.009 O
0.701 0.855 0.991 O
0.671 0.748 0.253 O
0.329 0.252 0.747 O
0.171 0.252 0.247 O
0.829 0.748 0.753 O
```

Results
E_tot, eV/cell: -280.7

***

What is the formula in the seventh record? Mo21S8

***

Among the records above, which one has the lowest E_tot? BaTeH3S4O6

***

Which of these has the lowest E_tot? BaTeH3S4O6

***

Which of these has the lowest E_tot? BaTeH3S4O6